Entry 1:
Computed, not measured: crystalline Lu2AlZn at its relaxed geometry at the r²SCAN level of DFT.

Computed properties:
E (eV/atom): -23.37
Formation energy from the elements (eV/atom): -0.41

```
data_Lu2AlZn
_symmetry_space_group_name_H-M 'P 1'
_symmetry_Int_Tables_number 1
_cell_length_a 4.929
_cell_length_b 4.929
_cell_length_c 4.929
_cell_angle_alpha 60.00
_cell_angle_beta 60.00
_cell_angle_gamma 60.00
loop_
_symmetry_equiv_pos_as_xyz
'x,y,z'
loop_
_atom_site_label
_atom_site_type_symbol
_atom_site_fract_x
_atom_site_fract_y
_atom_site_fract_z
Lu1 Lu 0.250 0.250 0.250
Lu2 Lu 0.750 0.750 0.750
Al1 Al 0.000 0.000 0.000
Zn1 Zn 0.500 0.500 0.500
```

=====

Entry 2:
Computed, not measured: crystalline Mg17Al12 at its relaxed geometry at the r²SCAN level of DFT.

Computed properties:
E (eV/atom): -5.24
Formation energy from the elements (eV/atom): -0.01

```
data_Mg17Al12
_symmetry_space_group_name_H-M 'P 1'
_symmetry_Int_Tables_number 1
_cell_length_a 9.038
_cell_length_b 9.038
_cell_length_c 9.038
_cell_angle_alpha 109.47
_cell_angle_beta 109.47
_cell_angle_gamma 109.47
loop_
_symmetry_equiv_pos_as_xyz
'x,y,z'
loop_
_atom_site_label
_atom_site_type_symbol
_atom_site_fract_x
_atom_site_fract_y
_atom_site_fract_z
Mg1 Mg 0.000 0.000 0.000
Mg2 Mg 0.000 0.000 0.654
Mg3 Mg 0.000 0.398 0.684
Mg4 Mg 0.000 0.654 0.000
Mg5 Mg 0.000 0.684 0.398
Mg6 Mg 0.286 0.602 0.602
Mg7 Mg 0.316 0.316 0.714
Mg8 Mg 0.316 0.714 0.316
Mg9 Mg 0.346 0.346 0.346
Mg10 Mg 0.398 0.000 0.684
Mg11 Mg 0.398 0.684 0.000
Mg12 Mg 0.602 0.286 0.602
Mg13 Mg 0.602 0.602 0.286
Mg14 Mg 0.654 0.000 0.000
Mg15 Mg 0.684 0.000 0.398
Mg16 Mg 0.684 0.398 0.000
Mg17 Mg 0.714 0.316 0.316
Al1 Al 0.000 0.186 0.367
Al2 Al 0.000 0.367 0.186
Al3 Al 0.181 0.814 0.814
Al4 Al 0.186 0.000 0.367
Al5 Al 0.186 0.367 0.000
Al6 Al 0.367 0.000 0.186
Al7 Al 0.367 0.186 0.000
Al8 Al 0.633 0.633 0.819
Al9 Al 0.633 0.819 0.633
Al10 Al 0.814 0.181 0.814
Al11 Al 0.814 0.814 0.181
Al12 Al 0.819 0.633 0.633
```

=====

Entry 3:
Computed, not measured: crystalline Mg15Al at its relaxed geometry at the r²SCAN level of DFT.

Computed properties:
E (eV/atom): -4.32
Formation energy from the elements (eV/atom): 0.01

```
data_Mg15Al
_symmetry_space_group_name_H-M 'P 1'
_symmetry_Int_Tables_number 1
_cell_length_a 6.313
_cell_length_b 6.313
_cell_length_c 10.185
_cell_angle_alpha 90.00
_cell_angle_beta 90.00
_cell_angle_gamma 120.00
loop_
_symmetry_equiv_pos_as_xyz
'x,y,z'
loop_
_atom_site_label
_atom_site_type_symbol
_atom_site_fract_x
_atom_site_fract_y
_atom_site_fract_z
Mg1 Mg 0.000 0.000 0.000
Mg2 Mg 0.001 0.500 0.000
Mg3 Mg 0.165 0.331 0.253
Mg4 Mg 0.165 0.331 0.747
Mg5 Mg 0.165 0.835 0.253
Mg6 Mg 0.165 0.835 0.747
Mg7 Mg 0.500 0.500 0.000
Mg8 Mg 0.500 0.999 0.000
Mg9 Mg 0.501 0.001 0.500
Mg10 Mg 0.501 0.499 0.500
Mg11 Mg 0.667 0.333 0.250
Mg12 Mg 0.667 0.333 0.750
Mg13 Mg 0.669 0.835 0.253
Mg14 Mg 0.669 0.835 0.747
Mg15 Mg 0.999 0.499 0.500
Al1 Al 0.000 0.000 0.500
```

=====

Entry 4:
Computed, not measured: crystalline MgAl3 at its relaxed geometry at the r²SCAN level of DFT.

Computed properties:
E (eV/atom): -6.07
Formation energy from the elements (eV/atom): 0.02

```
data_MgAl3
_symmetry_space_group_name_H-M 'P 1'
_symmetry_Int_Tables_number 1
_cell_length_a 5.034
_cell_length_b 5.034
_cell_length_c 5.034
_cell_angle_alpha 132.06
_cell_angle_beta 132.06
_cell_angle_gamma 70.14
loop_
_symmetry_equiv_pos_as_xyz
'x,y,z'
loop_
_atom_site_label
_atom_site_type_symbol
_atom_site_fract_x
_atom_site_fract_y
_atom_site_fract_z
Mg1 Mg 0.000 0.000 0.000
Al1 Al 0.250 0.750 0.500
Al2 Al 0.500 0.500 0.000
Al3 Al 0.750 0.250 0.500
```

=====

Entry 5:
Computed, not measured: crystalline MgAl3 at its relaxed geometry at the r²SCAN level of DFT.

Computed properties:
E (eV/atom): -6.06
Formation energy from the elements (eV/atom): 0.03

```
data_MgAl3
_symmetry_space_group_name_H-M 'P 1'
_symmetry_Int_Tables_number 1
_cell_length_a 5.849
_cell_length_b 5.849
_cell_length_c 4.666
_cell_angle_alpha 90.00
_cell_angle_beta 90.00
_cell_angle_gamma 120.00
loop_
_symmetry_equiv_pos_as_xyz
'x,y,z'
loop_
_atom_site_label
_atom_site_type_symbol
_atom_site_fract_x
_atom_site_fract_y
_atom_site_fract_z
Mg1 Mg 0.333 0.667 0.250
Mg2 Mg 0.667 0.333 0.750
Al1 Al 0.161 0.322 0.750
Al2 Al 0.161 0.839 0.750
Al3 Al 0.322 0.161 0.250
Al4 Al 0.678 0.839 0.750
Al5 Al 0.839 0.161 0.250
Al6 Al 0.839 0.678 0.250
```

=====

Entry 6:
Computed, not measured: crystalline Pr2MgAl at its relaxed geometry at the r²SCAN level of DFT.

Computed properties:
E (eV/atom): -17.69
Formation energy from the elements (eV/atom): -0.27

```
data_Pr2MgAl
_symmetry_space_group_name_H-M 'P 1'
_symmetry_Int_Tables_number 1
_cell_length_a 5.411
_cell_length_b 5.411
_cell_length_c 5.411
_cell_angle_alpha 60.00
_cell_angle_beta 60.00
_cell_angle_gamma 60.00
loop_
_symmetry_equiv_pos_as_xyz
'x,y,z'
loop_
_atom_site_label
_atom_site_type_symbol
_atom_site_fract_x
_atom_site_fract_y
_atom_site_fract_z
Pr1 Pr 0.250 0.250 0.250
Pr2 Pr 0.750 0.750 0.750
Mg1 Mg 0.000 0.000 0.000
Al1 Al 0.500 0.500 0.500
```

=====

Entry 7:
Computed, not measured: crystalline Mg2Al2Se5 at its relaxed geometry at the r²SCAN level of DFT.

Computed properties:
E (eV/atom): -11.59
Formation energy from the elements (eV/atom): -1.21

```
data_Mg2Al2Se5
_symmetry_space_group_name_H-M 'P 1'
_symmetry_Int_Tables_number 1
_cell_length_a 3.887
_cell_length_b 3.887
_cell_length_c 16.336
_cell_angle_alpha 90.00
_cell_angle_beta 90.00
_cell_angle_gamma 120.00
loop_
_symmetry_equiv_pos_as_xyz
'x,y,z'
loop_
_atom_site_label
_atom_site_type_symbol
_atom_site_fract_x
_atom_site_fract_y
_atom_site_fract_z
Mg1 Mg 0.333 0.667 0.097
Mg2 Mg 0.667 0.333 0.903
Al1 Al 0.333 0.667 0.676
Al2 Al 0.667 0.333 0.324
Se1 Se 0.000 0.000 0.000
Se2 Se 0.333 0.667 0.388
Se3 Se 0.333 0.667 0.816
Se4 Se 0.667 0.333 0.184
Se5 Se 0.667 0.333 0.612
```

=====

Entry 8:
Computed, not measured: crystalline Mg16TiAl12 at its relaxed geometry at the r²SCAN level of DFT.

Computed properties:
E (eV/atom): -5.56
Formation energy from the elements (eV/atom): -0.02

```
data_Mg16TiAl12
_symmetry_space_group_name_H-M 'P 1'
_symmetry_Int_Tables_number 1
_cell_length_a 8.989
_cell_length_b 8.989
_cell_length_c 8.989
_cell_angle_alpha 109.47
_cell_angle_beta 109.47
_cell_angle_gamma 109.47
loop_
_symmetry_equiv_pos_as_xyz
'x,y,z'
loop_
_atom_site_label
_atom_site_type_symbol
_atom_site_fract_x
_atom_site_fract_y
_atom_site_fract_z
Mg1 Mg 0.000 0.000 0.659
Mg2 Mg 0.000 0.398 0.683
Mg3 Mg 0.000 0.659 0.000
Mg4 Mg 0.000 0.683 0.398
Mg5 Mg 0.286 0.602 0.602
Mg6 Mg 0.317 0.317 0.714
Mg7 Mg 0.317 0.714 0.317
Mg8 Mg 0.341 0.341 0.341
Mg9 Mg 0.398 0.000 0.683
Mg10 Mg 0.398 0.683 0.000
Mg11 Mg 0.602 0.286 0.602
Mg12 Mg 0.602 0.602 0.286
Mg13 Mg 0.659 0.000 0.000
Mg14 Mg 0.683 0.000 0.398
Mg15 Mg 0.683 0.398 0.000
Mg16 Mg 0.714 0.317 0.317
Ti1 Ti 0.000 0.000 0.000
Al1 Al 0.000 0.184 0.363
Al2 Al 0.000 0.363 0.184
Al3 Al 0.179 0.816 0.816
Al4 Al 0.184 0.000 0.363
Al5 Al 0.184 0.363 0.000
Al6 Al 0.363 0.000 0.184
Al7 Al 0.363 0.184 0.000
Al8 Al 0.637 0.637 0.821
Al9 Al 0.637 0.821 0.637
Al10 Al 0.816 0.179 0.816
Al11 Al 0.816 0.816 0.179
Al12 Al 0.821 0.637 0.637
```

=====

Repeat the first record exactly.
Computed, not measured: crystalline Lu2AlZn at its relaxed geometry at the r²SCAN level of DFT.

Computed properties:
E (eV/atom): -23.37
Formation energy from the elements (eV/atom): -0.41

```
data_Lu2AlZn
_symmetry_space_group_name_H-M 'P 1'
_symmetry_Int_Tables_number 1
_cell_length_a 4.929
_cell_length_b 4.929
_cell_length_c 4.929
_cell_angle_alpha 60.00
_cell_angle_beta 60.00
_cell_angle_gamma 60.00
loop_
_symmetry_equiv_pos_as_xyz
'x,y,z'
loop_
_atom_site_label
_atom_site_type_symbol
_atom_site_fract_x
_atom_site_fract_y
_atom_site_fract_z
Lu1 Lu 0.250 0.250 0.250
Lu2 Lu 0.750 0.750 0.750
Al1 Al 0.000 0.000 0.000
Zn1 Zn 0.500 0.500 0.500
```